(1)
Sr5Os2N6 | PBE | relaxed

Size of the total moment = 0.01 μB/cell
Energy of formation = -640 meV per atom

Geometry as CIF:
```
data_Sr5Os2N6
_chemical_formula_sum 'Sr20 Os8 N24'
_cell_length_a 10.486
_cell_length_b 7.016
_cell_length_c 13.232
_cell_angle_alpha 90.00
_cell_angle_beta 103.10
_cell_angle_gamma 90.00
_space_group_name_H-M_alt 'C 1 2/c 1'
_space_group_IT_number 15
_space_group_name_Hall '-C 2yc'
loop_
_atom_site_label
_atom_site_type_symbol
_atom_site_fract_x
_atom_site_fract_y
_atom_site_fract_z
Sr1 Sr 0.000 0.110 0.250
Sr2 Sr 0.066 0.241 0.000
Sr3 Sr 0.159 0.400 0.717
Os1 Os 0.232 0.403 0.443
N1 N 0.056 0.450 0.377
N2 N 0.147 0.047 0.640
N3 N 0.209 0.023 0.418
```

(2)
SrOs7N10 | PBE | relaxed

Size of the total moment = 0.00 μB/cell
Energy of formation = 227 meV per atom

Geometry as CIF:
```
data_SrOs7N10
_chemical_formula_sum 'Sr2 Os14 N20'
_cell_length_a 7.008
_cell_length_b 7.360
_cell_length_c 10.538
_cell_angle_alpha 90.00
_cell_angle_beta 108.28
_cell_angle_gamma 90.00
_space_group_name_H-M_alt 'P 1 c 1'
_space_group_IT_number 7
_space_group_name_Hall 'P -2yc'
loop_
_atom_site_label
_atom_site_type_symbol
_atom_site_fract_x
_atom_site_fract_y
_atom_site_fract_z
Sr1 Sr 0.000 0.043 0.000
Os1 Os 0.311 0.344 0.415
Os2 Os 0.398 0.309 0.709
Os3 Os 0.463 0.021 0.353
Os4 Os 0.618 0.388 0.007
Os5 Os 0.647 0.053 0.660
Os6 Os 0.778 0.375 0.339
Os7 Os 0.993 0.393 0.625
N1 N 0.047 0.382 0.454
N2 N 0.219 0.094 0.370
N3 N 0.228 0.490 0.768
N4 N 0.355 0.047 0.658
N5 N 0.438 0.480 0.576
N6 N 0.608 0.121 0.010
N7 N 0.668 0.387 0.834
N8 N 0.705 0.124 0.311
N9 N 0.833 0.410 0.172
N10 N 0.874 0.186 0.664
```

(3)
ZnOsN2 | PBE | relaxed

Size of the total moment = 0.01 μB/cell
Energy of formation = 258 meV per atom

Geometry as CIF:
```
data_ZnOsN2
_chemical_formula_sum 'Zn4 Os4 N8'
_cell_length_a 5.731
_cell_length_b 6.414
_cell_length_c 5.301
_cell_angle_alpha 90.00
_cell_angle_beta 90.00
_cell_angle_gamma 90.00
_space_group_name_H-M_alt 'P n a 21'
_space_group_IT_number 33
_space_group_name_Hall 'P 2c -2n'
loop_
_atom_site_label
_atom_site_type_symbol
_atom_site_fract_x
_atom_site_fract_y
_atom_site_fract_z
Zn1 Zn 0.062 0.114 0.000
Os1 Os 0.051 0.598 0.977
N1 N 0.113 0.641 0.341
N2 N 0.120 0.150 0.383
```

(4)
P4N7 | PBE | relaxed

Size of the total moment = 1.49 μB/cell
Energy of formation = -385 meV per atom
Energy relative to the lowest polymorph listed for this composition = 0.000 eV per atom

Geometry as CIF:
```
data_P4N7
_chemical_formula_sum 'P16 N28'
_cell_length_a 7.224
_cell_length_b 4.943
_cell_length_c 15.242
_cell_angle_alpha 90.00
_cell_angle_beta 91.86
_cell_angle_gamma 90.00
_space_group_name_H-M_alt 'P 1 21/c 1'
_space_group_IT_number 14
_space_group_name_Hall '-P 2ybc'
loop_
_atom_site_label
_atom_site_type_symbol
_atom_site_fract_x
_atom_site_fract_y
_atom_site_fract_z
P1 P 0.018 0.190 0.195
P2 P 0.266 0.701 0.452
P3 P 0.312 0.200 0.555
P4 P 0.452 0.130 0.201
N1 N 0.016 0.120 0.780
N2 N 0.108 0.704 0.885
N3 N 0.238 0.208 0.157
N4 N 0.243 0.111 0.978
N5 N 0.297 0.611 0.037
N6 N 0.473 0.681 0.722
N7 N 0.474 0.716 0.400
```

(5)
P3N5 | PBE | relaxed

Energy of formation = -523 meV per atom
Energy relative to the lowest polymorph listed for this composition = 0.000 eV per atom

Geometry as CIF:
```
data_P3N5
_chemical_formula_sum 'P12 N20'
_cell_length_a 8.186
_cell_length_b 5.895
_cell_length_c 9.241
_cell_angle_alpha 90.00
_cell_angle_beta 115.70
_cell_angle_gamma 90.00
_space_group_name_H-M_alt 'C 1 2/c 1'
_space_group_IT_number 15
_space_group_name_Hall '-C 2yc'
loop_
_atom_site_label
_atom_site_type_symbol
_atom_site_fract_x
_atom_site_fract_y
_atom_site_fract_z
P1 P 0.000 0.018 0.250
P2 P 0.134 0.296 0.055
N1 N 0.000 0.500 0.000
N2 N 0.132 0.139 0.192
N3 N 0.145 0.144 0.900
```

(6)
P4N7 | PBE | relaxed

Size of the total moment = 1.33 μB/cell
Energy of formation = -304 meV per atom
Energy relative to the lowest polymorph listed for this composition = 0.081 eV per atom

Geometry as CIF:
```
data_P4N7
_chemical_formula_sum 'P16 N28'
_cell_length_a 6.860
_cell_length_b 7.319
_cell_length_c 9.031
_cell_angle_alpha 90.00
_cell_angle_beta 111.67
_cell_angle_gamma 90.00
_space_group_name_H-M_alt 'C 1 2/c 1'
_space_group_IT_number 15
_space_group_name_Hall '-C 2yc'
loop_
_atom_site_label
_atom_site_type_symbol
_atom_site_fract_x
_atom_site_fract_y
_atom_site_fract_z
P1 P 0.165 0.080 0.476
P2 P 0.233 0.241 0.798
N1 N 0.000 0.314 0.750
N2 N 0.101 0.091 0.101
N3 N 0.210 0.279 0.369
N4 N 0.213 0.438 0.096
```

(7)
P3N5 | PBE | relaxed

Size of the total moment = 0.00 μB/cell
Maximum piezoelectric response = 0.81 C/m2
Energy of formation = -425 meV per atom
Energy relative to the lowest polymorph listed for this composition = 0.099 eV per atom

Geometry as CIF:
```
data_P3N5
_chemical_formula_sum 'P6 N10'
_cell_length_a 2.629
_cell_length_b 13.058
_cell_length_c 4.490
_cell_angle_alpha 90.00
_cell_angle_beta 90.00
_cell_angle_gamma 90.00
_space_group_name_H-M_alt 'I m m 2'
_space_group_IT_number 44
_space_group_name_Hall 'I 2 -2'
loop_
_atom_site_label
_atom_site_type_symbol
_atom_site_fract_x
_atom_site_fract_y
_atom_site_fract_z
P1 P 0.000 0.000 0.000
P2 P 0.000 0.317 0.839
N1 N 0.000 0.104 0.220
N2 N 0.000 0.226 0.562
N3 N 0.000 0.500 0.304
```

(8)
PN2 | PBE | relaxed

Size of the total moment = 4.00 μB/cell
Energy of formation = -28 meV per atom

Geometry as CIF:
```
data_PN2
_chemical_formula_sum 'P4 N8'
_cell_length_a 4.797
_cell_length_b 4.798
_cell_length_c 7.496
_cell_angle_alpha 90.00
_cell_angle_beta 90.00
_cell_angle_gamma 90.00
_space_group_name_H-M_alt 'P 21 21 21'
_space_group_IT_number 19
_space_group_name_Hall 'P 2ac 2ab'
loop_
_atom_site_label
_atom_site_type_symbol
_atom_site_fract_x
_atom_site_fract_y
_atom_site_fract_z
P1 P 0.006 0.239 0.375
N1 N 0.107 0.975 0.259
N2 N 0.237 0.643 0.991
```

Number 1: total DFT energy (no corrections) -348.316 eV per cell. Number 2: total DFT energy (no corrections) -311.897 eV per cell. Number 3: total DFT energy (no corrections) -109.625 eV per cell. Number 4: total DFT energy (no corrections) -326.869 eV per cell. Number 5: total DFT energy (no corrections) -241.218 eV per cell. Number 6: total DFT energy (no corrections) -323.291 eV per cell. Number 7: total DFT energy (no corrections) -119.033 eV per cell. Number 8: total DFT energy (no corrections) -85.794 eV per cell.